Record 1
# PWO5

A relaxed PWO5 crystal (r2SCAN, the Materials Project database).

POSCAR file:
```
PWO5
1.0
5.286 0.000 0.000
0.000 6.631 0.000
0.000 0.000 11.255
P W O
4 4 20
direct
0.514 0.529 0.344
0.014 0.471 0.656
0.514 0.971 0.844
0.014 0.029 0.156
0.507 0.332 0.060
0.007 0.668 0.940
0.507 0.168 0.561
0.007 0.832 0.439
0.243 0.010 0.503
0.743 0.990 0.497
0.243 0.490 0.003
0.743 0.510 0.997
0.289 0.661 0.377
0.789 0.339 0.623
0.289 0.839 0.877
0.789 0.161 0.123
0.501 0.482 0.213
0.001 0.518 0.787
0.501 0.018 0.713
0.001 0.982 0.287
0.006 0.831 0.086
0.506 0.169 0.914
0.006 0.669 0.586
0.506 0.331 0.414
0.262 0.136 0.130
0.762 0.864 0.870
0.262 0.364 0.631
0.762 0.636 0.369
```

Properties
Energy: -15.195 eV/atom
Density: 4.96 g/cm3
Energy of formation: -222.39 kJ per mole of atoms

=====

Record 2
# P2WO7

A relaxed P2WO7 crystal (r2SCAN, the Materials Project database).

POSCAR file:
```
P2WO7
1.0
-5.178 6.389 1.398
-1.493 -0.183 -4.693
-5.455 -4.370 -0.233
P W O
4 2 14
direct
0.978 0.235 0.892
0.055 0.614 0.504
0.555 0.386 0.496
0.478 0.765 0.108
0.743 0.782 0.728
0.243 0.218 0.272
0.921 0.993 0.818
0.579 0.867 0.925
0.838 0.426 0.913
0.096 0.422 0.724
0.572 0.565 0.639
0.884 0.712 0.505
0.176 0.853 0.465
0.676 0.147 0.535
0.384 0.288 0.495
0.072 0.435 0.361
0.596 0.578 0.276
0.338 0.574 0.087
0.079 0.133 0.075
0.421 0.007 0.182
```

Properties
Energy: -13.331 eV/atom
Density: 4.32 g/cm3
Energy of formation: -213.55 kJ per mole of atoms